(A)
LiMnP3O9 | PBE with a Hubbard U | relaxed Values from VASP.

## Properties
Symmetry: No. 19

The structure in Quantum ESPRESSO input format:
```
&SYSTEM
  ibrav = 0, nat = 56, ntyp = 4
/
ATOMIC_SPECIES
P 30.97 P.upf
Mn 54.94 Mn.upf
Li 6.94 Li.upf
O 16.00 O.upf
CELL_PARAMETERS angstrom
8.576 0.000 0.000
0.000 8.693 0.000
0.000 0.000 9.002
ATOMIC_POSITIONS crystal
P 0.190 0.520 0.192
P 0.030 0.683 0.681
P 0.530 0.817 0.319
P 0.690 0.980 0.808
P 0.310 0.480 0.692
P 0.300 0.805 0.068
P 0.800 0.695 0.932
P 0.700 0.305 0.432
P 0.970 0.183 0.819
P 0.200 0.195 0.568
P 0.810 0.020 0.308
P 0.470 0.317 0.181
Mn 0.153 0.870 0.392
Mn 0.653 0.630 0.608
Mn 0.847 0.370 0.108
Mn 0.347 0.130 0.892
Li 0.128 0.144 0.166
Li 0.872 0.644 0.334
Li 0.372 0.856 0.666
Li 0.628 0.356 0.834
O 0.138 0.541 0.733
O 0.594 0.111 0.866
O 0.372 0.387 0.820
O 0.868 0.310 0.876
O 0.094 0.389 0.134
O 0.658 0.362 0.585
O 0.099 0.129 0.920
O 0.807 0.405 0.340
O 0.406 0.611 0.634
O 0.541 0.269 0.340
O 0.271 0.366 0.553
O 0.959 0.731 0.840
O 0.459 0.769 0.160
O 0.693 0.595 0.840
O 0.401 0.871 0.420
O 0.132 0.810 0.624
O 0.342 0.862 0.915
O 0.041 0.231 0.660
O 0.729 0.866 0.947
O 0.229 0.634 0.053
O 0.307 0.095 0.660
O 0.362 0.459 0.233
O 0.158 0.138 0.415
O 0.193 0.905 0.160
O 0.128 0.613 0.320
O 0.872 0.113 0.180
O 0.771 0.134 0.447
O 0.599 0.371 0.080
O 0.862 0.041 0.767
O 0.901 0.629 0.580
O 0.368 0.190 0.124
O 0.842 0.638 0.085
O 0.628 0.887 0.680
O 0.632 0.690 0.376
O 0.906 0.889 0.366
O 0.638 0.959 0.267
```

(B)
LiMnP3O9 | PBE with a Hubbard U | relaxed Values from VASP.

## Properties
Symmetry: No. 57

The structure in Quantum ESPRESSO input format:
```
&SYSTEM
  ibrav = 0, nat = 56, ntyp = 4
/
ATOMIC_SPECIES
O 16.00 O.upf
Mn 54.94 Mn.upf
P 30.97 P.upf
Li 6.94 Li.upf
CELL_PARAMETERS angstrom
5.192 0.000 0.000
0.000 11.824 0.000
0.000 0.000 12.179
ATOMIC_POSITIONS crystal
O 0.092 0.097 0.699
O 0.734 0.129 0.510
O 0.547 0.957 0.164
O 0.244 0.374 0.474
O 0.756 0.874 0.526
O 0.466 0.250 0.859
O 0.266 0.129 0.010
O 0.547 0.457 0.336
O 0.244 0.626 0.026
O 0.092 0.597 0.801
O 0.547 0.543 0.164
O 0.453 0.043 0.836
O 0.266 0.371 0.010
O 0.734 0.371 0.510
O 0.756 0.626 0.526
O 0.734 0.629 0.990
O 0.756 0.126 0.974
O 0.534 0.750 0.141
O 0.908 0.097 0.199
O 0.244 0.126 0.474
O 0.244 0.874 0.026
O 0.756 0.374 0.974
O 0.908 0.903 0.301
O 0.466 0.750 0.641
O 0.908 0.403 0.199
O 0.092 0.403 0.699
O 0.453 0.543 0.664
O 0.908 0.597 0.301
O 0.453 0.957 0.664
O 0.092 0.903 0.801
O 0.266 0.871 0.490
O 0.534 0.250 0.359
O 0.734 0.871 0.990
O 0.547 0.043 0.336
O 0.266 0.629 0.490
O 0.453 0.457 0.836
Mn 0.021 0.750 0.922
Mn 0.021 0.250 0.578
Mn 0.979 0.250 0.078
Mn 0.979 0.750 0.422
P 0.234 0.500 0.750
P 0.234 0.000 0.750
P 0.486 0.366 0.929
P 0.514 0.366 0.429
P 0.766 0.500 0.250
P 0.486 0.134 0.929
P 0.766 0.000 0.250
P 0.514 0.634 0.071
P 0.486 0.634 0.571
P 0.486 0.866 0.571
P 0.514 0.134 0.429
P 0.514 0.866 0.071
Li 0.000 0.500 0.500
Li 0.000 0.000 0.500
Li 0.000 0.000 0.000
Li 0.000 0.500 0.000
```

Quick look at relative energies in meV per atom: (A) 0; (B) 57.

(A)
Li2Ti3CoO8 | PBE with a Hubbard U | relaxed Values from VASP.

## Properties
Piezoelectric modulus e_max: 0.30 C/m2

The structure in Quantum ESPRESSO input format:
```
&SYSTEM
  ibrav = 0, nat = 56, ntyp = 4
/
ATOMIC_SPECIES
O 16.00 O.upf
Ti 47.87 Ti.upf
Co 58.93 Co.upf
Li 6.94 Li.upf
CELL_PARAMETERS angstrom
-4.353 2.979 -2.812
-4.594 -6.286 6.808
1.645 8.144 6.088
ATOMIC_POSITIONS crystal
O 0.957 0.373 0.296
O 0.042 0.625 0.707
O 0.685 0.371 0.572
O 0.177 0.354 0.572
O 0.834 0.126 0.457
O 0.084 0.625 0.207
O 0.322 0.644 0.931
O 0.792 0.125 0.957
O 0.677 0.354 0.072
O 0.822 0.644 0.431
O 0.166 0.873 0.546
O 0.666 0.873 0.046
O 0.427 0.854 0.322
O 0.315 0.630 0.426
O 0.185 0.371 0.072
O 0.707 0.873 0.546
O 0.072 0.144 0.181
O 0.207 0.873 0.046
O 0.416 0.373 0.296
O 0.334 0.125 0.957
O 0.457 0.373 0.796
O 0.565 0.130 0.176
O 0.542 0.625 0.207
O 0.584 0.626 0.707
O 0.916 0.373 0.796
O 0.065 0.130 0.676
O 0.927 0.854 0.822
O 0.815 0.630 0.926
O 0.935 0.871 0.322
O 0.292 0.125 0.457
O 0.435 0.871 0.822
O 0.572 0.144 0.681
Ti 0.629 0.749 0.873
Ti 0.620 0.749 0.373
Ti 0.752 0.504 0.750
Ti 0.120 0.749 0.873
Ti 0.502 0.004 0.000
Ti 0.870 0.249 0.123
Ti 0.129 0.749 0.373
Ti 0.879 0.249 0.623
Ti 0.379 0.249 0.123
Ti 0.252 0.504 0.250
Ti 0.370 0.249 0.623
Ti 0.002 0.004 0.500
Co 0.221 0.441 0.897
Co 0.471 0.941 0.647
Co 0.971 0.941 0.147
Co 0.721 0.441 0.397
Li 0.125 0.250 0.374
Li 0.375 0.750 0.124
Li 0.530 0.060 0.351
Li 0.875 0.750 0.624
Li 0.280 0.560 0.601
Li 0.780 0.560 0.101
Li 0.625 0.250 0.874
Li 0.030 0.060 0.851
```

(B)
Li2Ti3CoO8 | PBE with a Hubbard U | relaxed Values from VASP.

## Properties
Symmetry: No. 166

The structure in Quantum ESPRESSO input format:
```
&SYSTEM
  ibrav = 0, nat = 14, ntyp = 4
/
ATOMIC_SPECIES
Co 58.93 Co.upf
O 16.00 O.upf
Ti 47.87 Ti.upf
Li 6.94 Li.upf
CELL_PARAMETERS angstrom
5.074 -2.982 0.000
5.074 2.982 0.000
3.322 0.000 4.858
ATOMIC_POSITIONS crystal
Co 0.500 0.500 0.500
O 0.257 0.257 0.712
O 0.740 0.740 0.740
O 0.743 0.288 0.743
O 0.257 0.712 0.257
O 0.288 0.743 0.743
O 0.743 0.743 0.288
O 0.260 0.260 0.260
O 0.712 0.257 0.257
Ti 0.500 0.500 0.000
Ti 0.000 0.500 0.500
Ti 0.500 0.000 0.500
Li 0.122 0.122 0.122
Li 0.878 0.878 0.878
```

Quick look at relative energies in meV per atom: (A) 0; (B) 18.

(A)
K2VPCO7 | PBE with a Hubbard U | relaxed Values from VASP.

## Properties
Symmetry: No. 1

The structure in Quantum ESPRESSO input format:
```
&SYSTEM
  ibrav = 0, nat = 48, ntyp = 5
/
ATOMIC_SPECIES
P 30.97 P.upf
O 16.00 O.upf
V 50.94 V.upf
K 39.10 K.upf
C 12.01 C.upf
CELL_PARAMETERS angstrom
-0.003 6.761 0.023
0.190 0.038 11.262
9.795 -0.004 -0.073
ATOMIC_POSITIONS crystal
P 0.246 0.362 0.433
P 0.751 0.638 0.566
P 0.253 0.862 0.434
P 0.750 0.138 0.566
O 0.750 0.557 0.438
O 0.435 0.385 0.347
O 0.243 0.228 0.478
O 0.259 0.728 0.479
O 0.756 0.776 0.195
O 0.563 0.612 0.654
O 0.756 0.276 0.195
O 0.063 0.884 0.348
O 0.742 0.272 0.521
O 0.251 0.944 0.561
O 0.940 0.614 0.653
O 0.059 0.388 0.346
O 0.259 0.531 0.831
O 0.749 0.854 0.980
O 0.939 0.118 0.654
O 0.751 0.354 0.980
O 0.251 0.146 0.020
O 0.740 0.469 0.169
O 0.745 0.969 0.170
O 0.248 0.443 0.561
O 0.251 0.647 0.020
O 0.754 0.056 0.439
O 0.439 0.887 0.346
O 0.745 0.772 0.522
O 0.243 0.031 0.831
O 0.562 0.111 0.652
O 0.243 0.723 0.805
O 0.259 0.224 0.805
V 0.250 0.112 0.639
V 0.747 0.389 0.361
V 0.750 0.888 0.361
V 0.252 0.611 0.639
K 0.023 0.621 0.234
K 0.477 0.626 0.237
K 0.024 0.121 0.235
K 0.519 0.875 0.767
K 0.974 0.878 0.762
K 0.479 0.126 0.236
K 0.527 0.376 0.761
K 0.982 0.377 0.768
C 0.251 0.634 0.894
C 0.749 0.366 0.106
C 0.251 0.134 0.894
C 0.750 0.866 0.106
```

(B)
K2VPCO7 | PBE with a Hubbard U | relaxed Values from VASP.

## Properties
Symmetry: No. 1

The structure in Quantum ESPRESSO input format:
```
&SYSTEM
  ibrav = 0, nat = 48, ntyp = 5
/
ATOMIC_SPECIES
P 30.97 P.upf
V 50.94 V.upf
O 16.00 O.upf
K 39.10 K.upf
C 12.01 C.upf
CELL_PARAMETERS angstrom
-0.003 6.764 0.025
0.181 0.042 11.258
9.785 -0.005 -0.081
ATOMIC_POSITIONS crystal
P 0.252 0.862 0.434
P 0.751 0.638 0.566
P 0.750 0.139 0.566
P 0.248 0.361 0.433
V 0.749 0.888 0.361
V 0.250 0.113 0.641
V 0.748 0.388 0.360
V 0.252 0.611 0.639
O 0.248 0.227 0.476
O 0.755 0.776 0.195
O 0.249 0.945 0.561
O 0.253 0.225 0.806
O 0.751 0.556 0.438
O 0.436 0.386 0.347
O 0.250 0.646 0.021
O 0.062 0.883 0.347
O 0.742 0.469 0.168
O 0.749 0.854 0.980
O 0.939 0.118 0.654
O 0.753 0.055 0.440
O 0.438 0.887 0.346
O 0.756 0.276 0.194
O 0.060 0.387 0.346
O 0.562 0.113 0.653
O 0.249 0.031 0.831
O 0.745 0.771 0.520
O 0.248 0.443 0.561
O 0.250 0.146 0.021
O 0.744 0.969 0.170
O 0.564 0.613 0.654
O 0.259 0.729 0.481
O 0.743 0.272 0.520
O 0.940 0.615 0.653
O 0.260 0.531 0.831
O 0.243 0.724 0.805
O 0.750 0.353 0.979
K 0.022 0.622 0.234
K 0.979 0.379 0.767
K 0.476 0.626 0.237
K 0.519 0.874 0.765
K 0.975 0.879 0.764
K 0.479 0.125 0.237
K 0.525 0.375 0.762
K 0.025 0.121 0.237
C 0.251 0.634 0.894
C 0.251 0.135 0.895
C 0.749 0.866 0.106
C 0.749 0.366 0.105
```

Quick look at relative energies in meV per atom: (A) 36; (B) 0.

(A)
Na4MgCo2O6 | PBE with a Hubbard U | relaxed Values from VASP.

## Properties
Symmetry: No. 8

The structure in Quantum ESPRESSO input format:
```
&SYSTEM
  ibrav = 0, nat = 13, ntyp = 4
/
ATOMIC_SPECIES
Na 22.99 Na.upf
O 16.00 O.upf
Co 58.93 Co.upf
Mg 24.30 Mg.upf
CELL_PARAMETERS angstrom
-3.006 4.840 3.366
-0.428 -6.424 1.529
4.891 -0.925 3.132
ATOMIC_POSITIONS crystal
Na 0.092 0.908 0.097
Na 0.562 0.438 0.675
Na 0.390 0.610 0.249
Na 0.043 0.957 0.566
O 0.811 0.637 0.342
O 0.223 0.777 0.891
O 0.723 0.277 0.994
O 0.363 0.189 0.342
O 0.653 0.845 0.694
O 0.155 0.347 0.694
Co 0.332 0.668 0.744
Co 0.646 0.354 0.222
Mg 0.819 0.181 0.771
```

(B)
Na4MgCo2O6 | PBE with a Hubbard U | relaxed Values from VASP.

## Properties
Symmetry: No. 1

The structure in Quantum ESPRESSO input format:
```
&SYSTEM
  ibrav = 0, nat = 13, ntyp = 4
/
ATOMIC_SPECIES
Na 22.99 Na.upf
O 16.00 O.upf
Co 58.93 Co.upf
Mg 24.30 Mg.upf
CELL_PARAMETERS angstrom
0.028 -4.256 -4.241
2.551 -5.186 0.973
-4.482 -2.849 3.909
ATOMIC_POSITIONS crystal
Na 0.595 0.410 0.641
Na 0.116 0.248 0.461
Na 0.877 0.173 0.082
Na 0.723 0.898 0.416
O 0.397 0.479 0.908
O 0.712 0.307 0.355
O 0.948 0.438 0.782
O 0.532 0.012 0.744
O 0.341 0.979 0.171
O 0.006 0.703 0.163
Co 0.847 0.713 0.912
Co 0.332 0.211 0.942
Mg 0.387 0.617 0.160
```

Quick look at relative energies in meV per atom: (A) 67; (B) 0.

(A)
MgSc4Fe4O12 | PBE with a Hubbard U | relaxed Values from VASP.

## Properties
Symmetry: No. 1

The structure in Quantum ESPRESSO input format:
```
&SYSTEM
  ibrav = 0, nat = 21, ntyp = 4
/
ATOMIC_SPECIES
O 16.00 O.upf
Fe 55.84 Fe.upf
Sc 44.96 Sc.upf
Mg 24.30 Mg.upf
CELL_PARAMETERS angstrom
-5.291 0.372 -0.648
0.349 -3.472 -4.787
-0.939 -6.722 3.725
ATOMIC_POSITIONS crystal
O 0.830 0.041 0.060
O 0.821 0.734 0.404
O 0.855 0.452 0.731
O 0.341 0.228 0.904
O 0.203 0.723 0.903
O 0.656 0.580 0.057
O 0.638 0.878 0.741
O 0.298 0.592 0.559
O 0.324 0.878 0.230
O 0.133 0.088 0.546
O 0.141 0.394 0.243
O 0.692 0.255 0.402
Fe 0.489 0.955 0.497
Fe 0.494 0.946 0.982
Fe 0.994 0.706 0.127
Fe 0.992 0.408 0.505
Sc 0.495 0.522 0.804
Sc 0.490 0.536 0.301
Sc 0.995 0.802 0.687
Sc 0.983 0.057 0.300
Mg 0.000 0.325 0.958
```

(B)
MgSc4Fe4O12 | PBE with a Hubbard U | relaxed Values from VASP.

## Properties
Symmetry: No. 1

The structure in Quantum ESPRESSO input format:
```
&SYSTEM
  ibrav = 0, nat = 21, ntyp = 4
/
ATOMIC_SPECIES
O 16.00 O.upf
Fe 55.84 Fe.upf
Sc 44.96 Sc.upf
Mg 24.30 Mg.upf
CELL_PARAMETERS angstrom
5.344 -0.274 -0.005
-0.285 5.592 0.002
-0.006 0.003 7.836
ATOMIC_POSITIONS crystal
O 0.810 0.830 0.082
O 0.809 0.832 0.421
O 0.819 0.579 0.750
O 0.668 0.312 0.423
O 0.666 0.312 0.077
O 0.648 0.073 0.750
O 0.320 0.666 0.926
O 0.201 0.160 0.583
O 0.152 0.409 0.248
O 0.381 0.908 0.249
O 0.201 0.162 0.915
O 0.320 0.662 0.568
Fe 0.992 0.457 0.541
Fe 0.485 0.980 0.510
Fe 0.483 0.981 0.990
Fe 0.993 0.461 0.963
Sc 0.456 0.421 0.750
Sc 0.988 0.935 0.750
Sc 0.524 0.555 0.251
Sc 0.867 0.137 0.249
Mg 0.056 0.729 0.254
```

Quick look at relative energies in meV per atom: (A) 0; (B) 112.